A) Compound: La3IrO7
Source: the Materials Project
Functional: PBE-GGA
Structure: optimized geometry

Output
- calculated density (g/cm3) = 7.37

The structure in POSCAR format:
```
La3IrO7
1.0
3.5266 5.3971 -2.0653
-4.9328 1.6542 4.3315
4.8412 -0.9193 5.8642
O La Ir
14 6 2
Direct
0.8081 0.5571 0.4584
0.8081 0.5571 0.0416
0.1919 0.4429 0.5416
0.8392 0.1000 0.7500
0.5571 0.8081 0.4584
0.4429 0.1919 0.9584
0.5873 0.5873 0.7500
0.9000 0.1608 0.2500
0.5571 0.8081 0.0416
0.1608 0.9000 0.2500
0.1000 0.8392 0.7500
0.1919 0.4429 0.9584
0.4127 0.4127 0.2500
0.4429 0.1919 0.5416
0.9086 0.4658 0.7500
0.5342 0.0914 0.2500
0.0914 0.5342 0.2500
0.4658 0.9086 0.7500
0.0000 0.0000 0.0000
0.0000 0.0000 0.5000
0.5000 0.5000 0.0000
0.5000 0.5000 0.5000
```



B) Compound: La3IrO7
Source: the Materials Project
Functional: PBE-GGA
Structure: optimized geometry

Output
- calculated density (g/cm3) = 7.57

The structure in POSCAR format:
```
La3IrO7
1.0
-5.5666 -0.2098 1.5819
2.1138 -5.4776 6.7120
4.9602 15.3888 19.4950
O Ir La
56 8 24
Direct
0.6517 0.7436 0.2796
0.4613 0.2582 0.9964
0.9601 0.1909 0.9854
0.1517 0.2564 0.2204
0.8215 0.5639 0.2123
0.0398 0.5096 0.1202
0.5028 0.1840 0.1082
0.3235 0.0118 0.9515
0.5387 0.7418 0.0036
0.1765 0.0118 0.4515
0.8313 0.0074 0.2101
0.9594 0.1692 0.8577
0.5398 0.4904 0.3798
0.4725 0.1904 0.8356
0.9602 0.4904 0.8798
0.0275 0.1904 0.3356
0.5275 0.8096 0.1644
0.9613 0.7418 0.5036
0.7804 0.4267 0.0364
0.9857 0.5001 0.6261
0.1207 0.7592 0.2492
0.4702 0.1805 0.5952
0.0399 0.8091 0.0146
0.0406 0.8308 0.1423
0.9702 0.8195 0.9048
0.0028 0.8160 0.3918
0.5406 0.1692 0.3577
0.1687 0.9926 0.7899
0.0298 0.1805 0.0952
0.2196 0.5733 0.9636
0.9972 0.1840 0.6082
0.8483 0.7436 0.7796
0.0387 0.2582 0.4964
0.6785 0.5639 0.7123
0.2804 0.5733 0.4636
0.3313 0.9926 0.2899
0.1785 0.4361 0.7877
0.0143 0.4999 0.3739
0.7196 0.4267 0.5364
0.4602 0.5096 0.6202
0.3793 0.7592 0.7492
0.9725 0.8096 0.6644
0.3483 0.2564 0.7204
0.5143 0.5001 0.1261
0.8793 0.2408 0.7508
0.8235 0.9882 0.5485
0.6687 0.0074 0.7101
0.6765 0.9882 0.0485
0.5399 0.1909 0.4854
0.4972 0.8160 0.8918
0.3215 0.4361 0.2877
0.4594 0.8308 0.6423
0.6207 0.2408 0.2508
0.5298 0.8195 0.4048
0.4601 0.8091 0.5146
0.4857 0.4999 0.8739
0.7605 0.2062 0.5462
0.8209 0.7864 0.2090
0.2605 0.7938 0.9538
0.2395 0.7938 0.4538
0.1791 0.2136 0.7910
0.7395 0.2062 0.0462
0.3209 0.2136 0.2910
0.6791 0.7864 0.7090
0.7793 0.5740 0.4401
0.7560 0.9844 0.9513
0.7333 0.4296 0.8094
0.7943 0.2992 0.1622
0.7667 0.4296 0.3094
0.7193 0.9972 0.8076
0.2793 0.4260 0.0599
0.7807 0.9972 0.3076
0.7650 0.7086 0.0892
0.2440 0.0156 0.0487
0.7207 0.5740 0.9401
0.7440 0.9844 0.4513
0.2943 0.7008 0.3378
0.2193 0.0028 0.6924
0.2560 0.0156 0.5487
0.2350 0.2914 0.9108
0.2667 0.5704 0.1906
0.7057 0.2992 0.6622
0.2807 0.0028 0.1924
0.2333 0.5704 0.6906
0.2650 0.2914 0.4108
0.7350 0.7086 0.5892
0.2057 0.7008 0.8378
0.2207 0.4260 0.5599
```



Top of the stability list: A), leading by 21 meV per atom.



A) Compound: Na2IrN2
Source: the Materials Project
Functional: PBE-GGA
Structure: optimized geometry

Output
- calculated density (g/cm3) = 5.56

The structure in POSCAR format:
```
Na2IrN2
1.0
-1.9027 0.8628 -2.3645
2.7194 2.7216 -1.1952
2.2511 -6.0757 -1.9233
N Na Ir
2 2 1
Direct
0.6430 0.6430 0.7861
0.3570 0.3570 0.2139
0.1582 0.1582 0.8164
0.8418 0.8418 0.1836
0.5000 0.5000 0.5000
```



B) Compound: Na2IrN2
Source: the Materials Project
Functional: PBE-GGA
Structure: optimized geometry

Output
- calculated density (g/cm3) = 5.76

The structure in POSCAR format:
```
Na2IrN2
1.0
-2.0445 -1.9755 -1.5281
0.9531 -0.6770 3.0085
-6.5777 4.4254 3.0798
Ir Na N
1 2 2
Direct
0.0000 0.0000 0.0000
0.3333 0.6667 0.7078
0.6667 0.3333 0.2922
0.6667 0.3333 0.8870
0.3333 0.6667 0.1130
```



Top of the stability list: A), leading by 16 meV per atom.